Record 1
r2SCAN K6InP3, optimized geometry; uncorrected energy = -9.0444 eV/atom; total magnetization = 0.00 μB/atom
1.0
-5.411 -0.907 7.037
1.674 8.146 -3.272
-5.633 -0.549 -8.138
P K In
6 12 2
Direct
0.716 0.444 0.763
0.596 0.116 0.259
0.389 0.876 0.742
0.289 0.553 0.231
0.865 0.826 0.244
0.156 0.202 0.763
0.969 0.817 0.625
0.400 0.564 0.593
0.255 0.853 0.393
0.866 0.486 0.134
0.023 0.200 0.393
0.626 0.449 0.398
0.231 0.872 0.004
0.245 0.204 0.114
0.758 0.095 0.987
0.567 0.622 0.944
0.734 0.128 0.617
0.117 0.506 0.851
0.420 0.176 0.752
0.585 0.828 0.255


Record 2
r2SCAN GdYCu2, optimized geometry; uncorrected energy = -21.5309 eV/atom; total magnetization = 1.82 μB/atom
1.0
-3.521 -3.226 1.167
-3.812 1.414 2.763
-4.470 0.408 -2.004
Gd Cu Y
1 2 1
Direct
0.500 0.500 0.500
0.250 0.250 0.250
0.750 0.750 0.750
0.000 0.000 0.000


Record 3
r2SCAN BaMnO3, optimized geometry; uncorrected energy = -14.4135 eV/atom; total magnetization = 0.60 μB/atom
1.0
-4.575 -5.318 -3.264
0.526 -5.114 -5.782
-0.061 -7.701 -0.746
Mn O Ba
3 9 3
Direct
0.381 0.381 0.381
0.500 0.500 0.500
0.619 0.619 0.619
0.734 0.295 0.295
0.705 0.705 0.266
0.500 0.000 0.500
0.000 0.500 0.500
0.295 0.295 0.734
0.295 0.734 0.295
0.266 0.705 0.705
0.705 0.266 0.705
0.500 0.500 0.000
0.219 0.219 0.219
0.000 0.000 0.000
0.781 0.781 0.781